## one
VASP calculation (GGA+U) on crystalline LiCo2OF5 at its relaxed geometry.

a = 4.499 Å, b = 8.512 Å, c = 8.624 Å
α = 60.48°, β = 88.94°, γ = 88.03°
Positions (direct):
Li 0.000 0.000 0.000
Li 0.005 0.670 0.668
Li 0.518 0.335 0.335
Co 0.023 0.325 0.657
Co 0.023 0.643 0.019
Co 0.024 0.007 0.336
Co 0.496 0.341 0.991
Co 0.497 0.994 0.685
Co 0.498 0.687 0.339
O 0.247 0.116 0.759
O 0.254 0.799 0.426
O 0.276 0.449 0.093
F 0.246 0.120 0.102
F 0.248 0.775 0.114
F 0.253 0.775 0.783
F 0.255 0.444 0.767
F 0.274 0.456 0.439
F 0.276 0.113 0.444
F 0.741 0.568 0.226
F 0.748 0.219 0.558
F 0.754 0.235 0.880
F 0.760 0.218 0.217
F 0.763 0.903 0.559
F 0.767 0.899 0.223
F 0.772 0.552 0.892
F 0.774 0.872 0.896
F 0.783 0.553 0.551

***

## two
VASP calculation (GGA+U) on crystalline LiCo2OF5 at its relaxed geometry.

a = 4.991 Å, b = 4.561 Å, c = 16.903 Å
α = 90.00°, β = 90.27°, γ = 90.00°
Positions (direct):
Li 0.000 0.233 0.000
Li 0.000 0.767 0.500
Li 0.510 0.246 0.231
Li 0.510 0.754 0.731
Co 0.014 0.263 0.328
Co 0.014 0.737 0.828
Co 0.024 0.277 0.675
Co 0.024 0.723 0.175
Co 0.478 0.272 0.898
Co 0.478 0.728 0.398
Co 0.513 0.251 0.566
Co 0.513 0.749 0.066
O 0.151 0.479 0.246
O 0.151 0.521 0.746
O 0.183 0.494 0.899
O 0.183 0.506 0.399
F 0.183 0.476 0.575
F 0.183 0.524 0.075
F 0.324 0.025 0.320
F 0.324 0.975 0.820
F 0.341 0.022 0.650
F 0.341 0.978 0.150
F 0.349 0.008 0.989
F 0.349 0.992 0.489
F 0.664 0.489 0.992
F 0.664 0.511 0.492
F 0.670 0.478 0.654
F 0.670 0.522 0.154
F 0.692 0.484 0.323
F 0.692 0.516 0.823
F 0.832 0.008 0.904
F 0.832 0.992 0.404
F 0.833 0.028 0.582
F 0.833 0.972 0.082
F 0.847 0.020 0.246
F 0.847 0.980 0.746

***

## three
VASP calculation (GGA+U) on crystalline LiCo2OF5 at its relaxed geometry.

a = 4.579 Å, b = 4.579 Å, c = 18.368 Å
α = 90.76°, β = 90.76°, γ = 89.95°
Positions (direct):
Li 0.004 0.996 0.500
Li 0.506 0.523 0.750
Li 0.523 0.506 0.250
Li 0.996 0.004 0.000
Co 0.017 0.020 0.835
Co 0.020 0.017 0.335
Co 0.039 0.987 0.167
Co 0.483 0.488 0.917
Co 0.488 0.483 0.417
Co 0.501 0.517 0.086
Co 0.517 0.501 0.586
Co 0.987 0.039 0.667
O 0.213 0.216 0.909
O 0.216 0.213 0.409
O 0.309 0.716 0.159
O 0.716 0.309 0.659
F 0.208 0.211 0.751
F 0.209 0.219 0.084
F 0.211 0.208 0.251
F 0.219 0.209 0.584
F 0.301 0.724 0.664
F 0.307 0.721 0.834
F 0.310 0.708 0.000
F 0.310 0.719 0.334
F 0.323 0.693 0.505
F 0.693 0.323 0.005
F 0.708 0.310 0.500
F 0.719 0.310 0.834
F 0.721 0.307 0.334
F 0.724 0.301 0.164
F 0.797 0.801 0.914
F 0.798 0.809 0.085
F 0.801 0.797 0.414
F 0.809 0.798 0.585
F 0.824 0.827 0.754
F 0.827 0.824 0.254

***

Stability check: which of them is least stable? one.

***

## one
VASP calculation (GGA+U) on crystalline Li8CoO5F at its relaxed geometry.

a = 5.559 Å, b = 5.574 Å, c = 10.939 Å
α = 89.64°, β = 89.83°, γ = 60.45°
Positions (direct):
Li 0.000 0.000 0.000
Li 0.000 0.329 0.848
Li 0.266 0.398 0.001
Li 0.294 0.684 0.500
Li 0.310 0.041 0.652
Li 0.315 0.037 0.141
Li 0.342 0.730 0.849
Li 0.364 0.343 0.350
Li 0.594 0.075 0.850
Li 0.622 0.687 0.347
Li 0.643 0.378 0.152
Li 0.650 0.374 0.641
Li 0.668 0.731 0.001
Li 0.690 0.019 0.501
Li 0.957 0.422 0.501
Li 0.960 0.094 0.350
Co 0.977 0.715 0.716
Co 0.988 0.708 0.216
O 0.297 0.385 0.177
O 0.305 0.702 0.676
O 0.311 0.043 0.941
O 0.647 0.374 0.442
O 0.656 0.027 0.677
O 0.659 0.706 0.175
O 0.971 0.035 0.176
O 0.977 0.711 0.900
O 0.981 0.710 0.400
O 0.986 0.384 0.675
F 0.314 0.042 0.439
F 0.644 0.375 0.939

***

## two
VASP calculation (GGA+U) on crystalline Li8CoO5F at its relaxed geometry.

a = 5.429 Å, b = 6.016 Å, c = 17.941 Å
α = 83.54°, β = 87.09°, γ = 66.39°
Positions (direct):
Li 0.000 0.000 0.000
Li 0.033 0.433 0.415
Li 0.093 0.276 0.889
Li 0.116 0.052 0.356
Li 0.159 0.830 0.838
Li 0.196 0.633 0.295
Li 0.200 0.499 0.780
Li 0.243 0.897 0.196
Li 0.249 0.250 0.250
Li 0.286 0.681 0.665
Li 0.340 0.526 0.138
Li 0.368 0.300 0.606
Li 0.413 0.084 0.088
Li 0.444 0.880 0.542
Li 0.450 0.740 0.031
Li 0.489 0.155 0.444
Li 0.498 0.498 0.499
Li 0.537 0.930 0.914
Li 0.590 0.774 0.389
Li 0.614 0.548 0.854
Li 0.663 0.336 0.338
Li 0.695 0.129 0.792
Li 0.698 0.991 0.282
Li 0.741 0.405 0.695
Li 0.749 0.747 0.749
Li 0.785 0.182 0.164
Li 0.842 0.024 0.640
Li 0.863 0.800 0.105
Li 0.910 0.581 0.588
Li 0.947 0.382 0.045
Li 0.949 0.250 0.530
Li 0.994 0.647 0.946
Co 0.210 0.124 0.731
Co 0.472 0.365 0.978
Co 0.720 0.617 0.228
Co 0.959 0.876 0.481
O 0.026 0.860 0.740
O 0.055 0.232 0.634
O 0.152 0.635 0.038
O 0.195 0.073 0.457
O 0.196 0.681 0.561
O 0.287 0.120 0.988
O 0.301 0.485 0.883
O 0.401 0.886 0.289
O 0.446 0.930 0.811
O 0.448 0.320 0.706
O 0.535 0.372 0.238
O 0.550 0.736 0.133
O 0.662 0.127 0.538
O 0.693 0.555 0.956
O 0.696 0.186 0.061
O 0.775 0.612 0.490
O 0.804 0.983 0.384
O 0.913 0.376 0.787
O 0.940 0.808 0.207
O 0.946 0.437 0.311
F 0.118 0.234 0.153
F 0.367 0.488 0.402
F 0.618 0.738 0.653
F 0.868 0.985 0.904

***

Stability check: which of them is least stable? two.

***

## one
VASP calculation (GGA+U) on crystalline Li4CoOF5 at its relaxed geometry.

a = 5.498 Å, b = 7.306 Å, c = 6.698 Å
α = 89.99°, β = 115.40°, γ = 109.41°
Positions (direct):
Li 0.268 0.817 0.387
Li 0.664 0.666 0.193
Li 0.336 0.334 0.809
Li 0.733 0.183 0.614
Li 0.336 0.834 0.809
Li 0.268 0.317 0.387
Li 0.733 0.683 0.614
Li 0.664 0.166 0.193
F 0.635 0.409 0.681
F 0.293 0.574 0.881
F 0.635 0.909 0.681
F 0.000 0.250 0.501
F 0.000 0.750 0.501
F 0.366 0.592 0.321
F 0.366 0.092 0.321
F 0.706 0.927 0.121
F 0.293 0.074 0.881
F 0.706 0.427 0.121
Co 0.000 0.500 0.001
Co 0.000 0.000 0.001
O 0.000 0.250 0.001
O 0.000 0.750 0.001

***

## two
VASP calculation (GGA+U) on crystalline Li4CoOF5 at its relaxed geometry.

a = 3.719 Å, b = 9.408 Å, c = 13.159 Å
α = 102.63°, β = 90.03°, γ = 90.03°
Positions (direct):
Li 0.000 0.000 0.000
Li 0.000 0.001 0.501
Li 0.000 0.030 0.303
Li 0.000 0.302 0.056
Li 0.000 0.331 0.857
Li 0.000 0.333 0.359
Li 0.001 0.031 0.801
Li 0.499 0.501 0.749
Li 0.500 0.500 0.251
Li 0.500 0.529 0.551
Li 0.500 0.530 0.053
Li 0.500 0.802 0.306
Li 0.500 0.833 0.109
Li 0.501 0.804 0.806
Li 0.501 0.831 0.608
Li 0.999 0.301 0.557
Co 0.000 0.665 0.928
Co 0.000 0.667 0.430
Co 0.500 0.166 0.679
Co 0.500 0.167 0.180
O 0.000 0.166 0.679
O 0.000 0.167 0.180
O 0.500 0.665 0.927
O 0.500 0.667 0.431
F 0.000 0.166 0.429
F 0.000 0.167 0.929
F 0.000 0.482 0.499
F 0.000 0.483 0.997
F 0.000 0.517 0.294
F 0.000 0.815 0.063
F 0.000 0.851 0.361
F 0.001 0.820 0.565
F 0.001 0.849 0.860
F 0.497 0.347 0.611
F 0.499 0.308 0.811
F 0.500 0.017 0.044
F 0.500 0.316 0.315
F 0.500 0.349 0.111
F 0.500 0.666 0.679
F 0.500 0.667 0.179
F 0.500 0.984 0.248
F 0.501 0.023 0.546
F 0.503 0.985 0.748
F 0.999 0.512 0.793

***

Stability check: which of them is least stable? two.